A plane-wave DFT calculation with PBE with a Hubbard U was carried out for a relaxed BaFe12O19 crystal.

As for the density: 5.0 Mg/m³. Its MP2020-corrected energy is -506.2 eV for the cell shown. Its spin magnetization is 1.88 μB/atom.

a = 6.0108 Å, b = 6.0108 Å, c = 23.5489 Å
α = 90.00°, β = 90.00°, γ = 120.00°
Fractional positions:
Ba1 0.3333 0.6667 0.0000
Ba2 0.6667 0.3333 0.5000
Fe1 0.0000 0.0000 0.2489
Fe2 0.0000 0.0000 0.4923
Fe3 0.0000 0.0000 0.7489
Fe4 0.0000 0.0000 0.9923
Fe5 0.1675 0.3349 0.1399
Fe6 0.1675 0.8325 0.1399
Fe7 0.1688 0.3375 0.8575
Fe8 0.1688 0.8312 0.8575
Fe9 0.3333 0.6667 0.2762
Fe10 0.3333 0.6667 0.4399
Fe11 0.3333 0.6667 0.5583
Fe12 0.3333 0.6667 0.7212
Fe13 0.3349 0.1675 0.6399
Fe14 0.3375 0.1688 0.3575
Fe15 0.6625 0.8312 0.8575
Fe16 0.6651 0.8325 0.1399
Fe17 0.6667 0.3333 0.0583
Fe18 0.6667 0.3333 0.2212
Fe19 0.6667 0.3333 0.7762
Fe20 0.6667 0.3333 0.9399
Fe21 0.8312 0.1688 0.3575
Fe22 0.8312 0.6625 0.3575
Fe23 0.8325 0.1675 0.6399
Fe24 0.8325 0.6651 0.6399
O1 0.0000 0.0000 0.0978
O2 0.0000 0.0000 0.4008
O3 0.0000 0.0000 0.5978
O4 0.0000 0.0000 0.9008
O5 0.0055 0.5027 0.0992
O6 0.0067 0.5034 0.8987
O7 0.1553 0.3106 0.3018
O8 0.1554 0.3107 0.6966
O9 0.1553 0.8447 0.3018
O10 0.1554 0.8446 0.6966
O11 0.1824 0.3648 0.4985
O12 0.1824 0.8176 0.4985
O13 0.3107 0.1554 0.1966
O14 0.3106 0.1553 0.8018
O15 0.3333 0.6667 0.1935
O16 0.3333 0.6667 0.8044
O17 0.3648 0.1824 0.9985
O18 0.4973 0.5027 0.0992
O19 0.4966 0.5034 0.8987
O20 0.4966 0.9933 0.8987
O21 0.4973 0.9945 0.0992
O22 0.5027 0.0055 0.5992
O23 0.5034 0.0067 0.3987
O24 0.5034 0.4966 0.3987
O25 0.5027 0.4973 0.5992
O26 0.6352 0.8176 0.4985
O27 0.6667 0.3333 0.3044
O28 0.6667 0.3333 0.6935
O29 0.6894 0.8447 0.3018
O30 0.6893 0.8446 0.6966
O31 0.8176 0.1824 0.9985
O32 0.8176 0.6352 0.9985
O33 0.8446 0.1554 0.1966
O34 0.8447 0.1553 0.8018
O35 0.8446 0.6893 0.1966
O36 0.8447 0.6894 0.8018
O37 0.9933 0.4966 0.3987
O38 0.9945 0.4973 0.5992

---

A plane-wave DFT calculation with PBE with a Hubbard U was carried out for a relaxed Ba3FeO5 crystal.

As for the density: 5.5 Mg/m³. Its MP2020-corrected energy is -245.3 eV for the cell shown.

a = 10.5579 Å, b = 8.4052 Å, c = 7.3974 Å
α = 90.00°, β = 90.00°, γ = 90.00°
Fractional positions:
Ba1 0.0285 0.2500 0.1130
Ba2 0.1791 0.0252 0.5859
Ba3 0.1791 0.4748 0.5859
Ba4 0.3209 0.5252 0.0859
Ba5 0.3209 0.9748 0.0859
Ba6 0.4715 0.7500 0.6130
Ba7 0.5285 0.2500 0.3870
Ba8 0.6791 0.0252 0.9141
Ba9 0.6791 0.4748 0.9141
Ba10 0.8209 0.5252 0.4141
Ba11 0.8209 0.9748 0.4141
Ba12 0.9715 0.7500 0.8870
Fe1 0.0945 0.7500 0.3047
Fe2 0.4055 0.2500 0.8047
Fe3 0.5945 0.7500 0.1953
Fe4 0.9055 0.2500 0.6953
O1 0.0014 0.2500 0.4878
O2 0.0629 0.5563 0.2001
O3 0.0629 0.9437 0.2001
O4 0.2228 0.7500 0.8355
O5 0.2312 0.2500 0.8556
O6 0.2688 0.7500 0.3556
O7 0.2772 0.2500 0.3355
O8 0.4371 0.0563 0.7001
O9 0.4371 0.4437 0.7001
O10 0.4986 0.7500 0.9878
O11 0.5014 0.2500 0.0122
O12 0.5629 0.5563 0.2999
O13 0.5629 0.9437 0.2999
O14 0.7228 0.7500 0.6645
O15 0.7312 0.2500 0.6444
O16 0.7688 0.7500 0.1444
O17 0.7772 0.2500 0.1645
O18 0.9371 0.0563 0.7999
O19 0.9371 0.4437 0.7999
O20 0.9986 0.7500 0.5122

---

A plane-wave DFT calculation with PBE with a Hubbard U was carried out for a relaxed BaFeO3 crystal.

As for the density: 3.9 Mg/m³. Its MP2020-corrected energy is -134.7 eV for the cell shown. Its spin magnetization is 0.70 μB/atom.

a = 13.0504 Å, b = 13.0504 Å, c = 13.0504 Å
α = 27.40°, β = 27.40°, γ = 27.40°
Fractional positions:
Ba1 0.0000 0.0000 0.0000
Ba2 0.1755 0.1755 0.1755
Ba3 0.5833 0.5833 0.5833
Ba4 0.8125 0.8125 0.8125
Fe1 0.2831 0.2831 0.2831
Fe2 0.3782 0.3782 0.3782
Fe3 0.4495 0.4495 0.4495
Fe4 0.9051 0.9051 0.9051
O1 0.0122 0.0122 0.6007
O2 0.0122 0.6007 0.0122
O3 0.1065 0.1065 0.6203
O4 0.1065 0.6203 0.1065
O5 0.2240 0.2240 0.6836
O6 0.2240 0.6836 0.2240
O7 0.3130 0.3130 0.7663
O8 0.3130 0.7663 0.3130
O9 0.6007 0.0122 0.0122
O10 0.6203 0.1065 0.1065
O11 0.6836 0.2240 0.2240
O12 0.7663 0.3130 0.3130

---

A plane-wave DFT calculation with PBE with a Hubbard U was carried out for a relaxed Ba3Fe26O41 crystal.

As for the density: 5.0 Mg/m³. Its MP2020-corrected energy is -1103.9 eV for the cell shown. Its spin magnetization is 1.83 μB/atom.

a = 6.0228 Å, b = 6.0228 Å, c = 52.8794 Å
α = 90.00°, β = 90.00°, γ = 120.00°
Fractional positions:
Ba1 0.0000 0.0000 0.2500
Ba2 0.0000 0.0000 0.7500
Ba3 0.3333 0.6667 0.0283
Ba4 0.3333 0.6667 0.4717
Ba5 0.6667 0.3333 0.5283
Ba6 0.6667 0.3333 0.9717
Fe1 0.0000 0.0000 0.0000
Fe2 0.0000 0.0000 0.0525
Fe3 0.0000 0.0000 0.1261
Fe4 0.0000 0.0000 0.3739
Fe5 0.0000 0.0000 0.4475
Fe6 0.0000 0.0000 0.5000
Fe7 0.0000 0.0000 0.5525
Fe8 0.0000 0.0000 0.6261
Fe9 0.0000 0.0000 0.8739
Fe10 0.0000 0.0000 0.9475
Fe11 0.0104 0.5052 0.0907
Fe12 0.0104 0.5052 0.4093
Fe13 0.1653 0.3305 0.6870
Fe14 0.1653 0.3305 0.8130
Fe15 0.1653 0.8347 0.6870
Fe16 0.1653 0.8347 0.8130
Fe17 0.3305 0.1653 0.1870
Fe18 0.3305 0.1653 0.3130
Fe19 0.3333 0.6667 0.1517
Fe20 0.3333 0.6667 0.2235
Fe21 0.3333 0.6667 0.2765
Fe22 0.3333 0.6667 0.3483
Fe23 0.3333 0.6667 0.5350
Fe24 0.3333 0.6667 0.6385
Fe25 0.3333 0.6667 0.7500
Fe26 0.3333 0.6667 0.8615
Fe27 0.3333 0.6667 0.9650
Fe28 0.4948 0.5052 0.0907
Fe29 0.4948 0.5052 0.4093
Fe30 0.4948 0.9896 0.0907
Fe31 0.4948 0.9896 0.4093
Fe32 0.5052 0.0104 0.5907
Fe33 0.5052 0.0104 0.9093
Fe34 0.5052 0.4948 0.5907
Fe35 0.5052 0.4948 0.9093
Fe36 0.6667 0.3333 0.0350
Fe37 0.6667 0.3333 0.1385
Fe38 0.6667 0.3333 0.2500
Fe39 0.6667 0.3333 0.3615
Fe40 0.6667 0.3333 0.4650
Fe41 0.6667 0.3333 0.6517
Fe42 0.6667 0.3333 0.7235
Fe43 0.6667 0.3333 0.7765
Fe44 0.6667 0.3333 0.8483
Fe45 0.6695 0.8347 0.6870
Fe46 0.6695 0.8347 0.8130
Fe47 0.8347 0.1653 0.1870
Fe48 0.8347 0.1653 0.3130
Fe49 0.8347 0.6695 0.1870
Fe50 0.8347 0.6695 0.3130
Fe51 0.9896 0.4948 0.5907
Fe52 0.9896 0.4948 0.9093
O1 0.0000 0.0000 0.1630
O2 0.0000 0.0000 0.3370
O3 0.0000 0.0000 0.6630
O4 0.0000 0.0000 0.8370
O5 0.0238 0.5119 0.6621
O6 0.0238 0.5119 0.8379
O7 0.0335 0.5167 0.2500
O8 0.1616 0.3231 0.5235
O9 0.1616 0.3231 0.9765
O10 0.1623 0.3247 0.2051
O11 0.1623 0.3247 0.2949
O12 0.1623 0.8377 0.2051
O13 0.1623 0.8377 0.2949
O14 0.1616 0.8384 0.5235
O15 0.1616 0.8384 0.9765
O16 0.1751 0.3502 0.0716
O17 0.1751 0.3502 0.4284
O18 0.1751 0.8249 0.0716
O19 0.1751 0.8249 0.4284
O20 0.1781 0.3561 0.6152
O21 0.1781 0.3561 0.8848
O22 0.1781 0.8220 0.6152
O23 0.1781 0.8220 0.8848
O24 0.3231 0.1616 0.0235
O25 0.3231 0.1616 0.4765
O26 0.3247 0.1623 0.7051
O27 0.3247 0.1623 0.7949
O28 0.3333 0.6667 0.1148
O29 0.3333 0.6667 0.3852
O30 0.3333 0.6667 0.5721
O31 0.3333 0.6667 0.7061
O32 0.3333 0.6667 0.7939
O33 0.3333 0.6667 0.9279
O34 0.3502 0.1751 0.5716
O35 0.3502 0.1751 0.9284
O36 0.3561 0.1781 0.1152
O37 0.3561 0.1781 0.3848
O38 0.4833 0.5167 0.2500
O39 0.4833 0.9665 0.2500
O40 0.4881 0.5119 0.6621
O41 0.4881 0.5119 0.8379
O42 0.4881 0.9762 0.6621
O43 0.4881 0.9762 0.8379
O44 0.5119 0.0238 0.1621
O45 0.5119 0.0238 0.3379
O46 0.5119 0.4881 0.1621
O47 0.5119 0.4881 0.3379
O48 0.5167 0.0335 0.7500
O49 0.5167 0.4833 0.7500
O50 0.6439 0.8220 0.6152
O51 0.6439 0.8220 0.8848
O52 0.6498 0.8249 0.0716
O53 0.6498 0.8249 0.4284
O54 0.6667 0.3333 0.0721
O55 0.6667 0.3333 0.2061
O56 0.6667 0.3333 0.2939
O57 0.6667 0.3333 0.4279
O58 0.6667 0.3333 0.6148
O59 0.6667 0.3333 0.8852
O60 0.6753 0.8377 0.2051
O61 0.6753 0.8377 0.2949
O62 0.6769 0.8384 0.5235
O63 0.6769 0.8384 0.9765
O64 0.8220 0.1781 0.1152
O65 0.8220 0.1781 0.3848
O66 0.8220 0.6439 0.1152
O67 0.8220 0.6439 0.3848
O68 0.8249 0.1751 0.5716
O69 0.8249 0.1751 0.9284
O70 0.8249 0.6498 0.5716
O71 0.8249 0.6498 0.9284
O72 0.8384 0.1616 0.0235
O73 0.8384 0.1616 0.4765
O74 0.8377 0.1623 0.7051
O75 0.8377 0.1623 0.7949
O76 0.8377 0.6753 0.7051
O77 0.8377 0.6753 0.7949
O78 0.8384 0.6769 0.0235
O79 0.8384 0.6769 0.4765
O80 0.9665 0.4833 0.7500
O81 0.9762 0.4881 0.1621
O82 0.9762 0.4881 0.3379

---

A plane-wave DFT calculation with PBE with a Hubbard U was carried out for a relaxed Ba2Fe3O8 crystal.

As for the density: 5.1 Mg/m³. Its MP2020-corrected energy is -92.2 eV for the cell shown. Its spin magnetization is 1.09 μB/atom.

a = 3.9215 Å, b = 3.9215 Å, c = 12.0424 Å
α = 90.00°, β = 90.00°, γ = 90.00°
Fractional positions:
Ba1 0.0000 0.0000 0.1744
Ba2 0.0000 0.0000 0.8256
Fe1 0.5000 0.5000 0.0000
Fe2 0.5000 0.5000 0.3381
Fe3 0.5000 0.5000 0.6619
O1 0.0000 0.5000 0.0000
O2 0.0000 0.5000 0.3507
O3 0.0000 0.5000 0.6493
O4 0.5000 0.0000 0.0000
O5 0.5000 0.0000 0.3507
O6 0.5000 0.0000 0.6493
O7 0.5000 0.5000 0.1735
O8 0.5000 0.5000 0.8265

---

A plane-wave DFT calculation with PBE with a Hubbard U was carried out for a relaxed Ba4Fe9O20 crystal.

As for the density: 5.1 Mg/m³. Its MP2020-corrected energy is -244.4 eV for the cell shown. Its spin magnetization is 1.38 μB/atom.

a = 5.9754 Å, b = 5.9754 Å, c = 14.5480 Å
α = 90.54°, β = 90.54°, γ = 60.13°
Fractional positions:
Ba1 0.0012 0.0012 0.2626
Ba2 0.3334 0.3334 0.5795
Ba3 0.6666 0.6666 0.4205
Ba4 0.9988 0.9988 0.7374
Fe1 0.0000 0.0000 0.0000
Fe2 0.0000 0.0000 0.5000
Fe3 0.0000 0.5000 0.0000
Fe4 0.3301 0.3301 0.8246
Fe5 0.3374 0.3374 0.2113
Fe6 0.5000 0.0000 0.0000
Fe7 0.5000 0.5000 0.0000
Fe8 0.6626 0.6626 0.7887
Fe9 0.6699 0.6699 0.1754
O1 0.0105 0.4862 0.7548
O2 0.1413 0.7013 0.4292
O3 0.1422 0.1422 0.4236
O4 0.1693 0.1693 0.9250
O5 0.1695 0.6571 0.9249
O6 0.2987 0.8587 0.5708
O7 0.3348 0.3348 0.0747
O8 0.3429 0.8305 0.0751
O9 0.4862 0.0105 0.7548
O10 0.4871 0.4871 0.7532
O11 0.5129 0.5129 0.2468
O12 0.5138 0.9895 0.2452
O13 0.6571 0.1695 0.9249
O14 0.6652 0.6652 0.9253
O15 0.7013 0.1413 0.4292
O16 0.8305 0.3429 0.0751
O17 0.8307 0.8307 0.0750
O18 0.8578 0.8578 0.5764
O19 0.8587 0.2987 0.5708
O20 0.9895 0.5138 0.2452

---

A plane-wave DFT calculation with PBE with a Hubbard U was carried out for a relaxed Ba3Fe3O8 crystal.

As for the density: 5.6 Mg/m³. Its energy above the most stable polymorph in this dataset is 15.6 meV/atom. Its MP2020-corrected energy is -203.4 eV for the cell shown. Its spin magnetization is 1.00 μB/atom.

a = 14.1588 Å, b = 5.8580 Å, c = 5.8580 Å
α = 59.23°, β = 90.00°, γ = 90.00°
Fractional positions:
Ba1 0.0000 0.0000 0.0000
Ba2 0.1474 0.6679 0.6679
Ba3 0.3393 0.3279 0.3279
Ba4 0.5000 0.0070 0.0070
Ba5 0.6607 0.3279 0.3279
Ba6 0.8526 0.6679 0.6679
Fe1 0.0937 0.3381 0.3381
Fe2 0.2393 0.0193 0.0193
Fe3 0.4102 0.6410 0.6410
Fe4 0.5898 0.6410 0.6410
Fe5 0.7607 0.0193 0.0193
Fe6 0.9063 0.3381 0.3381
O1 0.0000 0.0343 0.4971
O2 0.0000 0.4903 0.4903
O3 0.0000 0.4971 0.0343
O4 0.1655 0.1727 0.1727
O5 0.1799 0.1526 0.6731
O6 0.1799 0.6731 0.1526
O7 0.3318 0.3277 0.8398
O8 0.3318 0.8398 0.3277
O9 0.5000 0.4939 0.4939
O10 0.5000 0.5189 0.9554
O11 0.5000 0.9554 0.5189
O12 0.6682 0.3277 0.8398
O13 0.6682 0.8398 0.3277
O14 0.8201 0.1526 0.6731
O15 0.8201 0.6731 0.1526
O16 0.8345 0.1727 0.1727

---

A plane-wave DFT calculation with PBE with a Hubbard U was carried out for a relaxed BaFe12O19 crystal.

As for the density: 5.0 Mg/m³. Its MP2020-corrected energy is -506.2 eV for the cell shown. Its spin magnetization is 1.88 μB/atom.

a = 6.0168 Å, b = 6.0168 Å, c = 23.4954 Å
α = 90.00°, β = 90.00°, γ = 120.00°
Fractional positions:
Ba1 0.3333 0.6667 0.2500
Ba2 0.6667 0.3333 0.7500
Fe1 0.0000 0.0000 0.0000
Fe2 0.0000 0.0000 0.2500
Fe3 0.0000 0.0000 0.5000
Fe4 0.0000 0.0000 0.7500
Fe5 0.1680 0.3360 0.1083
Fe6 0.1680 0.3360 0.3917
Fe7 0.1680 0.8320 0.1083
Fe8 0.1680 0.8320 0.3917
Fe9 0.3333 0.6667 0.5281
Fe10 0.3333 0.6667 0.6903
Fe11 0.3333 0.6667 0.8097
Fe12 0.3333 0.6667 0.9719
Fe13 0.3360 0.1680 0.6083
Fe14 0.3360 0.1680 0.8917
Fe15 0.6640 0.8320 0.1083
Fe16 0.6640 0.8320 0.3917
Fe17 0.6667 0.3333 0.0281
Fe18 0.6667 0.3333 0.1903
Fe19 0.6667 0.3333 0.3097
Fe20 0.6667 0.3333 0.4719
Fe21 0.8320 0.1680 0.6083
Fe22 0.8320 0.1680 0.8917
Fe23 0.8320 0.6640 0.6083
Fe24 0.8320 0.6640 0.8917
O1 0.0000 0.0000 0.1512
O2 0.0000 0.0000 0.3488
O3 0.0000 0.0000 0.6512
O4 0.0000 0.0000 0.8488
O5 0.0072 0.5036 0.1490
O6 0.0072 0.5036 0.3510
O7 0.1551 0.3101 0.5524
O8 0.1551 0.3101 0.9476
O9 0.1551 0.8449 0.5524
O10 0.1551 0.8449 0.9476
O11 0.1828 0.3656 0.7500
O12 0.1828 0.8172 0.7500
O13 0.3101 0.1551 0.0524
O14 0.3101 0.1551 0.4476
O15 0.3333 0.6667 0.0547
O16 0.3333 0.6667 0.4453
O17 0.3656 0.1828 0.2500
O18 0.4964 0.5036 0.1490
O19 0.4964 0.5036 0.3510
O20 0.4964 0.9928 0.1490
O21 0.4964 0.9928 0.3510
O22 0.5036 0.0072 0.6490
O23 0.5036 0.0072 0.8510
O24 0.5036 0.4964 0.6490
O25 0.5036 0.4964 0.8510
O26 0.6344 0.8172 0.7500
O27 0.6667 0.3333 0.5547
O28 0.6667 0.3333 0.9453
O29 0.6899 0.8449 0.5524
O30 0.6899 0.8449 0.9476
O31 0.8172 0.1828 0.2500
O32 0.8172 0.6344 0.2500
O33 0.8449 0.1551 0.0524
O34 0.8449 0.1551 0.4476
O35 0.8449 0.6899 0.0524
O36 0.8449 0.6899 0.4476
O37 0.9928 0.4964 0.6490
O38 0.9928 0.4964 0.8510